(1)
Density functional theory data (PBE) for a geometry-optimized BaO6 structure.

## Properties
E_form ... -606.7 kJ/mol of formula units
E above lowest polymorph ... 0.00 eV per formula unit

Cell lengths 9.4378, 6.3432, 8.0464 Å; angles 90.00, 92.65, 90.00 degrees
Space group C2/c (No. 15)
Unique sites:
Ba1 0.0000 0.2270 0.2500 x4
O1 0.0437 0.4382 0.9575 x8
O2 0.1650 0.0451 0.5346 x8
O3 0.1944 0.1439 0.6725 x8

---

(2)
Density functional theory data (PBE) for a geometry-optimized SrHf4SnO12 structure.

## Properties
Magnetization ... 2.00 μB per formula unit
E_form ... -5442.3 kJ/mol of formula units

Cell lengths 7.8444, 8.1149, 8.3483 Å; angles 90.00, 90.00, 90.00 degrees
Space group Cmmm (No. 65)
Unique sites:
Sr1 0.0000 0.0000 0.0000 x2
Hf1 0.2500 0.2500 0.2550 x8
Sn1 0.0000 0.5000 0.5000 x2
O1 0.0000 0.1897 0.2301 x8
O2 0.1747 0.5000 0.3064 x8
O3 0.2500 0.2500 0.0000 x4
O4 0.2500 0.2500 0.5000 x4

---

(3)
Density functional theory data (PBE) for a geometry-optimized Tb3Ge4 structure.

## Properties
E_form ... -536.3 kJ/mol of formula units

Cell lengths 4.0898, 10.7475, 14.3623 Å; angles 90.00, 90.00, 90.00 degrees
Space group Cmcm (No. 63)
Unique sites:
Tb1 0.0000 0.0480 0.2500 x4
Tb2 0.0000 0.3320 0.0968 x8
Ge1 0.0000 0.0000 0.0000 x4
Ge2 0.0000 0.2242 0.7500 x4
Ge3 0.0000 0.3786 0.6087 x8

---

(4)
Density functional theory data (PBE) for a geometry-optimized Zr2CN structure.

## Properties
E_form ... -533.0 kJ/mol of formula units

Cell lengths 3.3052, 3.3052, 16.1915 Å; angles 90.00, 90.00, 120.00 degrees
Space group R-3m (No. 166, hexagonal axes)
Unique sites:
Zr1 0.0000 0.0000 0.2491 x6
C1 0.0000 0.0000 0.5000 x3
N1 0.0000 0.0000 0.0000 x3

---

(5)
Density functional theory data (PBE) for a geometry-optimized Rb3As7 structure.

## Properties
Magnetization ... 0.00 μB per formula unit
E_form ... -351.6 kJ/mol of formula units
E above lowest polymorph ... 0.00 eV per formula unit

Cell lengths 13.5378, 26.5943, 16.2842 Å; angles 90.00, 90.00, 90.00 degrees
Space group Pbca (No. 61)
Unique sites:
Rb1 0.0349 0.1758 0.0434 x8
Rb2 0.0499 0.5587 0.6447 x8
Rb3 0.1167 0.5756 0.0875 x8
Rb4 0.1232 0.1295 0.6060 x8
Rb5 0.1280 0.0829 0.2471 x8
Rb6 0.2296 0.7185 0.8357 x8
As1 0.9996 0.2243 0.7936 x8
As2 0.0508 0.2001 0.3826 x8
As3 0.0575 0.7020 0.0025 x8
As4 0.0653 0.6872 0.2404 x8
As5 0.1279 0.5449 0.8644 x8
As6 0.1306 0.6856 0.6303 x8
As7 0.1345 0.5348 0.3079 x8
As8 0.1368 0.0424 0.0064 x8
As9 0.1379 0.0299 0.4454 x8
As10 0.1832 0.5414 0.4527 x8
As11 0.2049 0.7403 0.0650 x8
As12 0.2145 0.0427 0.7746 x8
As13 0.2171 0.0939 0.9075 x8
As14 0.2282 0.6862 0.1844 x8

---

(6)
Density functional theory data (PBE) for a geometry-optimized ZrCrCuS4 structure.

## Properties
Magnetization ... 0.84 μB per formula unit
E_form ... -766.9 kJ/mol of formula units
E above lowest polymorph ... 0.85 eV per formula unit

Cell lengths 7.2496, 10.2225, 7.2270 Å; angles 90.00, 90.00, 90.00 degrees
Space group Ima2 (No. 46)
Unique sites:
Zr1 0.2500 0.2388 0.0000 x4
Cr1 0.0000 0.0000 0.7589 x4
Cu1 0.2500 0.6252 0.7721 x4
S1 0.0020 0.7388 0.2496 x8
S2 0.2500 0.0033 0.5321 x4
S3 0.2500 0.5071 0.4931 x4

---

(7)
Density functional theory data (PBE) for a geometry-optimized CrN2 structure.

## Properties
Magnetization ... 0.00 μB per formula unit
E_form ... 1.3 kJ/mol of formula units

Cell lengths 7.3416, 8.8306, 5.9387 Å; angles 90.00, 99.11, 90.00 degrees
Space group C2 (No. 5)
Unique sites:
Cr1 0.1991 0.0000 0.2813 x4
Cr2 0.2466 0.1222 0.7892 x4
N1 0.0172 0.1044 0.7523 x4
N2 0.1753 0.8124 0.2399 x4
N3 0.1805 0.5646 0.9282 x4
N4 0.1905 0.5221 0.4396 x4

---

(8)
Density functional theory data (PBE) for a geometry-optimized K2B2Se3O10 structure.

## Properties
Magnetization ... 0.08 μB per formula unit
E_form ... -3203.5 kJ/mol of formula units

Cell lengths 14.5885, 16.1114, 4.7970 Å; angles 90.00, 90.00, 90.00 degrees
Space group Pnma (No. 62)
Unique sites:
K1 0.1341 0.0477 0.2354 x8
B1 0.0097 0.6693 0.2615 x8
Se1 0.1132 0.6411 0.7608 x8
Se2 0.1670 0.2500 0.7612 x4
O1 0.0144 0.6288 0.5442 x8
O2 0.0507 0.7500 0.2443 x4
O3 0.0572 0.6081 0.0712 x8
O4 0.0902 0.1649 0.8151 x8
O5 0.1748 0.5557 0.6990 x8
O6 0.1903 0.2500 0.4215 x4

---

(9)
Density functional theory data (PBE) for a geometry-optimized Ni2P2Se3S3 structure.

## Properties
Magnetization ... 3.96 μB per formula unit
E_form ... -306.5 kJ/mol of formula units

Cell lengths 5.9715, 6.0099, 6.9955 Å; angles 82.05, 73.39, 60.53 degrees
Space group P1 (No. 1)
Unique sites:
Ni1 0.0000 0.0000 0.0000 x1
Ni2 0.3335 0.3484 0.0008 x1
P1 0.6239 0.6607 0.1579 x1
P2 0.7122 0.6709 0.8312 x1
Se1 0.1034 0.3149 0.7561 x1
Se2 0.2388 0.0218 0.2376 x1
Se3 0.7442 0.0288 0.7571 x1
S1 0.3903 0.6716 0.7772 x1
S2 0.5974 0.3275 0.2197 x1
S3 0.9384 0.6685 0.2179 x1

---

(10)
Density functional theory data (PBE) for a geometry-optimized CdAg3 structure.

## Properties
E_form ... -18.8 kJ/mol of formula units

Cell lengths 4.1861, 4.1861, 8.5247 Å; angles 90.00, 90.00, 90.00 degrees
Space group I4/mmm (No. 139)
Unique sites:
Cd1 0.0000 0.0000 0.0000 x2
Ag1 0.0000 0.0000 0.5000 x2
Ag2 0.0000 0.5000 0.2500 x4

---

(11)
Density functional theory data (PBE) for a geometry-optimized GdMg2Ag structure.

## Properties
Magnetization ... 7.19 μB per formula unit
E_form ... -34.0 kJ/mol of formula units

Cell lengths 7.1820, 7.1820, 7.1820 Å; angles 90.00, 90.00, 90.00 degrees
Space group Fm-3m (No. 225)
Unique sites:
Gd1 0.0000 0.0000 0.0000 x4
Mg1 0.2500 0.2500 0.2500 x8
Ag1 0.0000 0.0000 0.5000 x4

---

(12)
Density functional theory data (PBE) for a geometry-optimized LiAgO2 structure.

## Properties
Magnetization ... 0.00 μB per formula unit
E_form ... -409.3 kJ/mol of formula units

Cell lengths 3.0498, 3.1588, 5.3466 Å; angles 90.00, 90.00, 90.00 degrees
Space group Pmmm (No. 47)
Unique sites:
Li1 0.0000 0.0000 0.0000 x1
Ag1 0.5000 0.5000 0.5000 x1
O1 0.0000 0.5000 0.2453 x2